No. 1
The following is a r2SCAN calculation of a relaxed LaEr3 crystal, from the Materials Project database.

VASP energy   -1.2056 Ha/atom
Crystal system   tetragonal
Formation energy from the elements   0.0743 eV/atom

extended XYZ file:
```
4
Lattice="6.101 0.367 0.151 1.447 4.399 3.992 -3.693 -4.836 0.602" Properties=species:S:1:pos:R:3 pbc="T T T"
Er 3.091 -1.043 1.412
Er 0.764 0.973 3.333
Er 3.774 2.383 2.071
La 0.000 0.000 0.000
```


No. 2
The following is a r2SCAN calculation of a relaxed LiGa5O8 crystal, from the Materials Project database.

Energy relative to the lowest polymorph listed for this composition   0.000 eV/atom
VASP energy   -0.3613 Ha/atom
Crystal system   cubic
Formation energy from the elements   -2.1607 eV/atom

extended XYZ file:
```
56
Lattice="-5.987 1.184 -5.509 1.862 -7.171 -3.564 -5.319 -3.843 4.954" Properties=species:S:1:pos:R:3 pbc="T T T"
O -2.582 -7.188 -3.363
O -6.525 -3.040 -4.222
O -2.520 -2.247 0.799
O -2.623 -6.068 -5.978
O -8.225 -3.472 0.501
O -7.450 -5.928 -3.937
O -8.153 -8.486 -3.557
O -0.675 -3.064 -1.482
O -3.761 -2.424 -4.081
O -7.262 -7.173 -1.396
O -4.517 -5.142 -3.747
O -4.723 -3.895 -6.518
O -2.384 -8.592 -0.671
O 0.170 -6.524 -3.198
O -6.283 -4.308 -1.690
O -3.529 -4.890 1.106
O -4.379 -6.349 -1.184
O -5.525 -7.963 -3.495
O -5.650 -0.363 -4.556
O -5.271 -2.924 0.576
O -2.756 -0.883 -1.914
O -5.609 -6.775 -6.075
O -1.717 -4.662 -3.593
O -1.607 -5.727 -1.136
O -3.652 -3.802 -1.593
O -9.231 -5.042 -1.907
O -5.362 -9.210 -0.830
O -4.253 -7.672 1.583
O -6.106 -5.608 0.947
O -5.096 -4.121 3.140
O -5.490 -1.623 -2.196
O -8.360 -2.119 -2.251
Ga -1.772 -5.492 0.705
Ga -4.769 -5.874 2.386
Ga -6.665 -8.874 -2.223
Ga -3.911 -3.075 1.944
Ga -2.392 -2.490 -1.044
Ga -3.107 -5.578 -2.424
Ga -2.054 -3.034 -4.514
Ga -5.075 -3.444 -3.004
Ga -8.022 -3.747 -1.330
Ga -4.380 -5.466 -5.577
Ga -6.903 -7.541 -4.856
Ga -0.244 -4.860 -2.203
Ga -9.413 -9.798 -4.106
Ga -4.094 -7.958 -0.289
Ga -7.006 -1.256 -3.503
Ga -4.109 -0.667 -3.346
Ga -1.210 -6.387 -4.548
Ga -8.692 -6.755 -2.632
Ga -4.973 -4.671 -0.311
Ga -5.649 -1.337 -0.324
Li -6.666 -3.815 1.823
Li -5.205 -2.134 -5.538
Li -5.903 -6.144 -2.575
Li -1.114 -7.568 -1.950
```


No. 3
The following is a r2SCAN calculation of a relaxed Fe7As6O24 crystal, from the Materials Project database.

VASP energy   -0.3838 Ha/atom
Crystal system   triclinic
Formation energy from the elements   -1.4585 eV/atom

extended XYZ file:
```
37
Lattice="-5.752 -2.448 -2.242 4.100 0.775 -6.789 4.611 -7.057 4.697" Properties=species:S:1:pos:R:3 pbc="T T T"
Fe 2.233 -8.644 -2.818
Fe -1.578 -4.213 0.107
Fe 4.538 -4.517 -4.440
Fe 4.356 -3.141 -1.046
Fe 0.726 -0.085 -1.515
Fe -0.294 -2.759 -5.352
Fe 3.254 -5.971 1.019
O -3.324 -1.856 -3.240
O 1.695 -2.539 -4.988
O 2.444 -4.905 2.508
O 3.608 -7.676 2.013
O -1.021 -3.311 -3.624
O 3.631 -3.238 -3.071
O 0.410 -5.711 -3.978
O 4.688 -6.035 -3.286
O 0.211 -3.700 1.010
O 2.549 -3.018 -0.355
O 6.283 -6.874 -1.093
O 1.421 -1.612 -2.472
O 1.264 -6.191 0.655
O -0.672 -5.491 -1.262
O 2.443 -7.621 -4.555
O 0.516 -3.825 -6.841
O 3.561 -0.655 -3.970
O 0.517 -1.109 0.222
O -0.649 -1.054 -6.346
O 3.981 -5.418 -0.709
O 2.748 -5.030 -5.343
O -0.602 -8.075 -0.363
O 1.539 -7.118 -1.861
O -1.729 -2.695 -1.047
As 1.378 -2.500 0.705
As 4.755 -6.589 -1.710
As 0.397 -6.721 -0.712
As -1.795 -2.141 -2.623
As 1.582 -6.230 -5.038
As 2.563 -2.009 -3.621
```